No. 1
Compound: K2AsAuCl6
Source: Materials Project
Functional: PBE
Structure: relaxed

Values from the calculation:
space-group type = Fm-3m
VASP energy = -3.152 eV per atom
corrected total energy (MP2020 scheme) = -35.206 eV per formula unit
formation energy from the elements = -134.7 kJ per mole of atoms

a = 7.346 Å, b = 7.346 Å, c = 7.346 Å
α = 60.00°, β = 60.00°, γ = 60.00°
Atoms (fractional coordinates):
1 K 0.250 0.250 0.250
2 K 0.750 0.750 0.750
3 As 0.000 0.000 0.000
4 Au 0.500 0.500 0.500
5 Cl 0.243 0.243 0.757
6 Cl 0.243 0.757 0.243
7 Cl 0.243 0.757 0.757
8 Cl 0.757 0.243 0.243
9 Cl 0.757 0.243 0.757
10 Cl 0.757 0.757 0.243

No. 2
Compound: Eu2AsAu
Source: Materials Project
Functional: PBE
Structure: relaxed

Values from the calculation:
space-group type = Fm-3m
VASP energy = -8.125 eV per atom
formation energy from the elements = -97.7 kJ per mole of atoms

a = 7.482 Å, b = 7.482 Å, c = 7.482 Å
α = 90.00°, β = 90.00°, γ = 90.00°
Atoms (fractional coordinates):
1 Eu 0.250 0.250 0.250
2 Eu 0.250 0.250 0.750
3 Eu 0.250 0.750 0.250
4 Eu 0.250 0.750 0.750
5 Eu 0.750 0.250 0.250
6 Eu 0.750 0.250 0.750
7 Eu 0.750 0.750 0.250
8 Eu 0.750 0.750 0.750
9 As 0.000 0.000 0.000
10 As 0.000 0.500 0.500
11 As 0.500 0.000 0.500
12 As 0.500 0.500 0.000
13 Au 0.000 0.000 0.500
14 Au 0.000 0.500 0.000
15 Au 0.500 0.000 0.000
16 Au 0.500 0.500 0.500

No. 3
Compound: K2AsAuF6
Source: Materials Project
Functional: PBE
Structure: relaxed

Values from the calculation:
space-group type = Fm-3m
VASP energy = -4.122 eV per atom
corrected total energy (MP2020 scheme) = -43.993 eV per formula unit
formation energy from the elements = -215.7 kJ per mole of atoms

a = 6.391 Å, b = 6.391 Å, c = 6.391 Å
α = 60.00°, β = 60.00°, γ = 60.00°
Atoms (fractional coordinates):
1 K 0.250 0.250 0.250
2 K 0.750 0.750 0.750
3 As 0.000 0.000 0.000
4 Au 0.500 0.500 0.500
5 F 0.227 0.227 0.773
6 F 0.227 0.773 0.227
7 F 0.227 0.773 0.773
8 F 0.773 0.227 0.227
9 F 0.773 0.227 0.773
10 F 0.773 0.773 0.227